Compound: K3NaS2O8
Source: Materials Project
Functional: PBE
Structure: optimized geometry

## Properties
- Energy of formation from the pure elements: -2.262 eV per atom
- Calculated total energy: -5.62 eV per atom

abc: 5.765 5.765 7.412
angles: 90.00 90.00 120.00
Sites, in units of the cell vectors:
1 K 0.000 0.000 0.000
2 K 0.333 0.667 0.676
3 K 0.667 0.333 0.324
4 Na 0.000 0.000 0.500
5 S 0.333 0.667 0.232
6 S 0.667 0.333 0.768
7 O 0.192 0.385 0.303
8 O 0.192 0.808 0.303
9 O 0.333 0.667 0.033
10 O 0.385 0.192 0.697
11 O 0.615 0.808 0.303
12 O 0.667 0.333 0.967
13 O 0.808 0.192 0.697
14 O 0.808 0.615 0.697